Entry 1:
The following is a DFT calculation (PBE) of a geometry-optimized U2Nb3Ge4 structure.

Properties
The energy relative to the elements comes out at -0.4365 eV/atom. The value obtained for the total energy is -8.37 eV/atom.

abc: 7.021 13.535 7.207
angles: 90.00 90.00 90.00
Space group Pnma (No. 62)
Inequivalent atoms, fractional coordinates:
U1 0.007 0.091 0.170
Nb1 0.161 0.625 0.333
Nb2 0.168 0.250 0.504
Ge1 0.039 0.250 0.876
Ge2 0.173 0.043 0.543
Ge3 0.192 0.750 0.640

Entry 2:
The following is a DFT calculation (PBE) of a geometry-optimized Nb3V3Ge2 structure.

Properties
The energy relative to the elements comes out at -0.2610 eV/atom. The value obtained for the total energy is -8.61 eV/atom.

abc: 7.0620 7.0620 8.6600
angles: 90.00 90.00 120.00
Space group R32 (No. 155, hexagonal axes)
Inequivalent atoms, fractional coordinates:
Nb1 0.0000 0.7488 0.0000
V1 0.0000 0.2503 0.5000
Ge1 0.0000 0.0000 0.2532

What is the energy relative to the elements in the first record? -0.4365 eV/atom

What is the energy relative to the elements in the first record? -0.4365 eV/atom